Na4CaZrSi2SO12: relaxed, PBE.

Structure (POSCAR):
```
Na4CaZrSi2SO12
1.0
9.452 0.000 0.000
-4.726 8.209 -0.077
0.000 -0.241 22.858
O S Si Ca Na Zr
72 6 12 6 24 6
Direct
0.531 0.695 0.252 O
0.023 0.197 0.195 O
0.513 0.820 0.753 O
0.977 0.202 0.311 O
0.830 0.028 0.085 O
0.126 0.685 0.480 O
0.326 0.448 0.471 O
0.973 0.153 0.586 O
0.226 0.018 0.313 O
0.673 0.540 0.245 O
0.516 0.644 0.863 O
0.993 0.781 0.804 O
0.508 0.864 0.362 O
0.490 0.150 0.248 O
0.291 0.479 0.755 O
0.183 0.977 0.196 O
0.497 0.361 0.419 O
0.823 0.817 0.915 O
0.850 0.311 0.529 O
0.006 0.207 0.911 O
0.164 0.695 0.752 O
0.122 0.448 0.971 O
0.224 0.202 0.811 O
0.640 0.487 0.920 O
0.307 0.820 0.253 O
0.359 0.475 0.365 O
0.461 0.311 0.029 O
0.660 0.150 0.748 O
0.150 0.673 0.081 O
0.794 0.977 0.696 O
0.127 0.644 0.363 O
0.782 0.808 0.198 O
0.455 0.115 0.637 O
0.189 0.006 0.914 O
0.958 0.813 0.088 O
0.459 0.351 0.146 O
0.792 0.018 0.813 O
0.340 0.873 0.578 O
0.660 0.115 0.137 O
0.198 0.028 0.585 O
0.817 0.006 0.414 O
0.180 0.153 0.086 O
0.200 0.207 0.411 O
0.157 0.483 0.582 O
0.993 0.817 0.415 O
0.484 0.340 0.747 O
0.891 0.535 0.144 O
0.521 0.146 0.921 O
0.854 0.813 0.588 O
0.841 0.530 0.029 O
0.625 0.146 0.421 O
0.892 0.351 0.646 O
0.856 0.340 0.247 O
0.644 0.535 0.644 O
0.689 0.530 0.529 O
0.534 0.873 0.078 O
0.116 0.475 0.865 O
0.559 0.685 0.980 O
0.692 0.142 0.031 O
0.788 0.781 0.304 O
0.847 0.487 0.420 O
0.867 0.540 0.745 O
0.356 0.864 0.862 O
0.026 0.808 0.698 O
0.864 0.361 0.919 O
0.327 0.483 0.082 O
0.523 0.673 0.581 O
0.449 0.142 0.531 O
0.188 0.479 0.255 O
0.558 0.868 0.478 O
0.311 0.868 0.978 O
0.175 0.197 0.695 O
0.011 0.706 0.750 S
0.362 0.040 0.583 S
0.678 0.040 0.083 S
0.029 0.373 0.916 S
0.695 0.706 0.250 S
0.344 0.373 0.416 S
0.630 0.971 0.420 Si
0.972 0.331 0.587 Si
0.341 0.971 0.920 Si
0.964 0.638 0.086 Si
0.007 0.304 0.253 Si
0.297 0.304 0.753 Si
0.026 0.664 0.421 Si
0.359 0.331 0.087 Si
0.639 0.664 0.921 Si
0.674 0.638 0.586 Si
0.305 0.998 0.254 Si
0.692 0.998 0.754 Si
0.000 0.002 0.848 Ca
0.667 0.335 0.181 Ca
0.335 0.668 0.015 Ca
0.001 0.002 0.348 Ca
0.668 0.335 0.681 Ca
0.334 0.668 0.515 Ca
0.318 0.010 0.408 Na
0.295 0.954 0.071 Na
0.639 0.312 0.827 Na
0.026 0.677 0.575 Na
0.340 0.646 0.661 Na
0.359 0.344 0.241 Na
0.379 0.032 0.756 Na
0.985 0.344 0.741 Na
0.320 0.366 0.589 Na
0.007 0.979 0.994 Na
0.046 0.366 0.089 Na
0.651 0.677 0.075 Na
0.628 0.620 0.738 Na
0.325 0.287 0.904 Na
0.659 0.954 0.571 Na
0.992 0.620 0.238 Na
0.973 0.979 0.494 Na
0.654 0.032 0.256 Na
0.693 0.010 0.908 Na
0.987 0.699 0.923 Na
0.961 0.287 0.404 Na
0.673 0.312 0.327 Na
0.712 0.699 0.423 Na
0.306 0.646 0.161 Na
0.652 0.341 0.983 Zr
0.022 0.008 0.149 Zr
0.319 0.675 0.316 Zr
0.986 0.008 0.649 Zr
0.689 0.341 0.483 Zr
0.356 0.675 0.816 Zr
```

Its electronic total energy is -6.687 eV/atom.